Sr2Cu6P5 | PBE | relaxed

abc: 4.106 4.106 12.653
angles: 99.34 99.34 90.00
Sites, in units of the cell vectors:
Sr1 0.649 0.649 0.298
Sr2 0.351 0.351 0.702
Cu1 0.948 0.448 0.896
Cu2 0.448 0.948 0.896
Cu3 0.052 0.552 0.104
Cu4 0.552 0.052 0.104
Cu5 0.250 0.750 0.500
Cu6 0.750 0.250 0.500
P1 0.500 0.500 0.000
P2 0.896 0.896 0.792
P3 0.104 0.104 0.208
P4 0.802 0.802 0.603
P5 0.198 0.198 0.397

Values from the calculation:
- formation enthalpy at 0 K (kcal/mol of atoms) = -10.31
- space group = I4/mmm, No. 139
- V (Å³/atom) = 15.97